[1]
ZnCoSi2O6 | PBE+U | relaxed

```
40
Lattice="5.226 0.199 1.292 -3.399 6.285 6.054 -1.294 -6.748 6.278" Properties=species:S:1:pos:R:3 pbc="T T T"
Si -3.319 1.120 8.573
Si -1.106 -1.715 10.572
O 0.692 -1.476 6.609
O -1.704 -0.448 4.913
Si 3.853 -1.383 5.052
O -0.158 1.213 7.015
O 1.045 0.874 4.458
O 2.447 -2.184 4.742
O -0.682 3.875 7.620
O -1.437 -0.579 11.726
Si 1.640 1.451 3.052
O 3.045 2.251 3.361
Co 1.714 0.651 6.453
O -1.914 1.920 8.882
O -2.512 -2.515 10.263
Co 0.155 -5.964 5.920
O 0.758 2.327 9.243
O 1.336 4.025 4.916
Co -1.180 -0.915 7.172
O 1.215 -4.138 6.005
Si 2.584 4.003 5.991
O -2.974 4.939 5.851
O -0.511 -1.138 9.166
O 2.776 2.478 6.539
Zn -0.742 1.366 5.049
Si 1.023 -2.613 5.456
O -0.224 -2.591 4.382
Si -2.051 -4.267 7.633
O -2.243 -2.742 7.085
O -3.914 0.543 9.979
O -0.803 -4.289 8.708
Zn -2.390 4.787 7.817
O 1.970 0.316 1.898
O 2.238 0.184 8.712
Zn 2.923 -5.050 5.808
O 4.448 -0.806 3.646
Zn 1.276 -1.629 8.575
Co 0.378 5.700 7.704
Si -0.490 2.349 8.168
O 3.507 -5.204 7.773
```

Values from the calculation:
- size of the total moment (μB per atom) = 0.00
- offset from the most stable computed form (kJ/mol of atoms) = 0.0
- density (g/cm3) = 4.0
- E_form (eV per atom) = -2.5561

=====

[2]
Zr4NiP6O24 | PBE+U | relaxed

```
70
Lattice="8.972 0.000 0.000 0.000 9.119 0.000 -8.843 0.000 12.618" Properties=species:S:1:pos:R:3 pbc="T T T"
Zr 0.000 1.768 0.000
Zr -4.421 7.350 6.309
Zr -4.335 2.541 9.843
Zr 0.087 6.578 3.534
Zr 0.140 2.531 6.354
Zr 4.562 6.587 0.045
Zr 4.583 2.026 3.306
Zr 0.162 7.092 9.615
Ni -4.092 4.274 7.075
Ni 0.330 4.844 0.766
P -1.125 3.222 3.005
P -5.547 5.897 9.315
P -3.134 1.401 6.645
P 1.287 7.717 0.336
P 3.161 3.414 0.411
P -1.261 5.704 6.720
P 2.037 0.016 4.765
P -2.385 9.103 11.074
P 2.654 4.559 4.931
P -1.767 4.559 11.240
P 1.442 1.225 9.330
P 5.864 7.894 3.021
O -6.023 1.550 9.214
O -1.601 7.569 2.905
O -0.670 2.245 1.900
O -5.091 6.873 8.209
O -4.990 4.467 8.873
O -0.568 4.652 2.564
O 0.783 0.004 0.721
O -3.639 9.114 7.030
O -3.631 2.455 7.734
O 0.790 6.664 1.425
O 1.591 3.277 0.524
O -2.830 5.842 6.833
O -0.509 2.878 4.357
O -4.931 6.240 10.666
O -5.270 3.004 11.596
O -0.848 6.114 5.287
O -1.611 1.400 6.614
O 2.811 7.718 0.305
O -3.427 0.791 10.266
O 0.995 8.328 3.956
O -0.944 4.233 6.984
O 3.478 4.886 0.675
O -2.575 3.524 10.446
O 1.846 5.595 4.137
O 3.839 2.470 1.405
O -0.582 6.648 7.714
O 1.284 0.962 5.702
O -3.138 8.157 12.011
O 2.979 0.750 3.815
O -1.442 8.368 10.124
O 1.760 3.805 5.928
O -2.661 5.314 12.237
O 3.388 3.608 3.985
O -1.034 5.511 10.294
O 0.676 2.086 8.311
O 5.098 7.033 2.002
O -1.597 0.979 11.971
O 2.824 8.139 5.661
O 5.615 0.280 2.783
O 1.194 8.839 9.092
O -0.662 3.813 12.100
O 3.760 5.306 5.791
O 6.309 3.245 3.062
O 1.888 5.874 9.371
O 0.985 1.585 10.770
O 5.407 7.533 4.461
O 5.217 1.882 5.332
O 0.795 7.237 11.641
```

Values from the calculation:
- size of the total moment (μB per atom) = 0.06
- density (g/cm3) = 3.2
- E_form (eV per atom) = -3.0826

=====

[3]
BaSr7MnFe7O24 | PBE+U | relaxed

```
40
Lattice="5.554 3.207 4.535 -5.554 3.207 4.535 0.000 -6.414 4.535" Properties=species:S:1:pos:R:3 pbc="T T T"
Ba 0.000 0.000 0.000
Sr 0.000 -3.210 2.270
Sr -2.780 1.605 2.270
Sr -2.780 -1.605 4.541
Sr 2.780 1.605 2.270
Sr 2.780 -1.605 4.541
Sr 0.000 3.211 4.541
Sr 0.000 0.000 6.809
Mn 0.000 0.000 10.195
Fe 0.000 0.000 3.417
Fe 0.000 -3.194 5.677
Fe -2.766 1.597 5.677
Fe -2.767 -1.598 7.937
Fe 2.766 1.597 5.677
Fe 2.767 -1.598 7.937
Fe 0.000 3.195 7.937
O 4.142 2.391 6.839
O -1.400 -3.966 4.546
O -4.135 0.771 4.546
O 0.000 -1.600 4.549
O -1.375 -2.402 6.800
O -1.386 0.800 4.549
O -2.767 0.010 6.800
O -4.142 2.391 6.839
O 1.400 -3.966 4.546
O 0.000 -4.783 6.839
O -2.735 3.196 4.546
O 1.375 -2.402 6.800
O -1.392 2.392 6.800
O 1.386 0.800 4.549
O -1.360 -0.785 9.088
O 4.135 0.771 4.546
O 2.735 3.196 4.546
O 0.000 -1.598 11.283
O -1.384 0.799 11.283
O 2.767 0.010 6.800
O 1.392 2.392 6.800
O 1.360 -0.785 9.088
O 0.000 1.570 9.088
O 1.384 0.799 11.283
```

Values from the calculation:
- size of the total moment (μB per atom) = 0.83
- density (g/cm3) = 5.4
- E_form (eV per atom) = -2.2428

=====

[4]
K2MgFe4P6O16F12 | PBE+U | relaxed

```
41
Lattice="7.630 0.000 0.000 0.047 7.648 0.000 2.211 3.791 10.012" Properties=species:S:1:pos:R:3 pbc="T T T"
K 0.000 0.000 0.000
K 1.824 2.327 3.818
Mg 5.866 6.883 6.918
Fe 2.042 6.896 6.923
Fe 4.894 9.000 8.721
Fe 4.740 4.968 1.919
Fe 6.801 4.768 5.104
P 2.022 5.893 3.760
P 3.983 4.201 6.986
P 3.810 2.247 0.247
P 5.687 7.702 3.576
P 7.720 9.573 6.829
P 7.476 4.093 0.084
O 3.231 8.815 9.913
O 2.785 5.084 7.325
O 2.465 6.711 4.969
O 3.145 5.167 3.049
O 4.248 3.206 8.087
O 5.653 6.746 8.999
O 5.207 4.992 6.509
O 4.141 3.010 1.487
O 5.332 6.926 2.351
O 6.506 8.772 7.311
O 6.087 7.003 4.833
O 7.396 2.889 5.704
O 6.332 4.799 0.785
O 9.264 7.079 8.872
O 8.941 8.708 6.520
O 8.477 4.970 3.979
F 0.327 2.941 1.114
F 1.521 7.029 2.724
F 3.551 3.352 5.704
F 3.954 7.681 7.150
F 2.659 1.241 0.632
F 4.562 8.739 3.905
F 3.797 5.635 0.354
F 5.674 4.273 3.472
F 7.151 4.997 9.954
F 6.824 8.708 3.157
F 7.777 6.100 6.706
F 8.130 10.452 8.100
```

Values from the calculation:
- size of the total moment (μB per atom) = 0.44
- offset from the most stable computed form (kJ/mol of atoms) = 0.0
- density (g/cm3) = 2.8
- E_form (eV per atom) = -2.7244

=====

[5]
MnCuSe2O6 | PBE+U | relaxed

```
20
Lattice="5.308 0.000 0.000 0.000 6.154 0.000 -4.949 0.000 7.658" Properties=species:S:1:pos:R:3 pbc="T T T"
Mn 0.000 0.000 0.000
Mn -2.475 3.077 3.829
Cu 0.179 0.000 3.829
Cu 2.654 3.077 0.000
Se -2.409 0.220 5.717
Se 0.066 2.857 1.888
Se 0.292 3.297 5.770
Se 2.767 5.935 1.941
O -4.381 4.267 7.053
O -1.907 4.965 3.224
O -2.908 1.198 7.088
O -0.433 1.879 3.259
O -1.465 3.527 5.834
O 1.010 5.705 2.005
O -0.652 0.450 5.653
O 1.823 2.628 1.824
O 0.791 4.275 4.399
O 3.266 4.956 0.570
O 2.265 1.190 4.434
O 4.740 1.887 0.605
```

Values from the calculation:
- size of the total moment (μB per atom) = 0.40
- density (g/cm3) = 4.9
- E_form (eV per atom) = -1.3280

=====

[6]
Mo9O26 | PBE+U | relaxed

```
140
Lattice="8.220 0.000 0.000 -4.108 14.875 0.000 0.000 -1.612 17.097" Properties=species:S:1:pos:R:3 pbc="T T T"
Mo 0.000 0.000 0.000
Mo -0.739 3.077 0.834
Mo -0.009 1.402 3.653
Mo -0.689 4.475 4.560
Mo 0.000 2.264 9.389
Mo -0.723 5.026 16.570
Mo 0.002 3.683 13.045
Mo -0.684 7.172 11.596
Mo -0.035 5.872 8.076
Mo -0.687 9.266 6.487
Mo -0.041 7.937 2.986
Mo -0.678 11.413 1.514
Mo -0.039 8.478 15.110
Mo -0.691 11.881 13.534
Mo -0.041 10.580 10.006
Mo 3.395 -0.801 8.548
Mo -0.001 12.716 5.027
Mo 3.392 0.611 12.204
Mo 4.085 -1.605 17.049
Mo 3.387 3.076 0.844
Mo 4.109 1.399 3.669
Mo 3.384 4.480 4.504
Mo 4.110 2.281 9.376
Mo 3.418 5.064 16.615
Mo 4.075 3.683 13.096
Mo 3.431 7.155 11.545
Mo 4.100 5.829 8.032
Mo 3.430 9.277 6.559
Mo 4.070 7.973 3.042
Mo 3.430 11.391 1.469
Mo 4.067 8.474 15.054
Mo 3.389 11.918 13.576
Mo 4.074 10.617 10.056
Mo 7.522 -0.799 8.496
Mo 4.088 12.681 4.987
Mo 7.493 0.606 12.218
O -0.393 0.305 16.518
O -0.304 1.134 7.947
O -2.424 8.431 14.863
O -2.413 9.200 6.290
O -0.372 1.763 13.633
O -0.300 2.538 5.094
O -0.448 3.359 2.779
O -0.415 2.553 11.315
O -2.424 10.770 10.267
O -2.400 11.574 1.720
O -0.381 4.718 0.138
O -0.252 3.936 8.740
O -2.434 11.883 13.429
O -2.389 12.689 4.879
O -0.252 5.003 6.260
O -0.411 6.069 3.692
O -0.383 5.258 12.184
O -0.161 4.249 14.773
O -0.616 7.186 1.221
O -0.550 6.435 9.752
O 1.659 -0.737 8.707
O 1.735 0.082 0.182
O -0.430 6.692 15.846
O -0.351 7.494 7.270
O 1.649 0.646 12.071
O 1.734 1.439 3.519
O -0.156 7.737 13.304
O -0.129 8.557 4.746
O -0.372 9.679 2.244
O -0.357 8.885 10.808
O -0.588 9.203 16.854
O -0.571 10.004 8.310
O 1.642 3.039 0.957
O 1.742 2.209 9.506
O -0.383 10.249 14.321
O -0.294 11.059 5.767
O 1.650 4.401 4.331
O 1.737 3.612 12.874
O -0.188 11.335 11.845
O -0.115 12.151 3.281
O -0.329 12.494 9.406
O -0.535 13.513 6.820
O -0.290 13.288 0.825
O -0.463 12.730 15.355
O 1.676 5.063 16.730
O 1.706 5.886 8.196
O 3.653 -1.048 12.883
O 3.741 -0.248 4.346
O 1.681 7.804 2.766
O 1.707 7.011 11.335
O 3.821 0.327 10.279
O 3.840 1.123 1.719
O 3.688 0.331 16.501
O 3.767 1.120 7.962
O 1.688 8.542 15.309
O 1.704 9.342 6.759
O 3.680 1.749 13.642
O 3.760 2.558 5.084
O 3.809 3.356 2.770
O 3.831 2.570 11.324
O 1.694 10.538 9.848
O 1.695 11.346 1.327
O 3.660 4.740 0.176
O 3.716 3.924 8.703
O 3.542 5.034 6.235
O 3.633 4.218 14.793
O 1.665 12.107 13.766
O 1.725 12.881 5.207
O 3.763 6.058 3.642
O 3.807 5.283 12.232
O 5.779 -0.742 8.434
O 5.828 -1.559 16.981
O 3.927 7.231 1.205
O 3.730 6.699 15.831
O 3.522 7.755 13.302
O 3.537 8.536 4.738
O 4.001 6.404 9.776
O 3.828 7.483 7.281
O 5.747 0.601 12.219
O 5.853 1.374 3.678
O 3.752 8.878 10.806
O 3.770 9.677 2.260
O 5.737 3.094 0.845
O 5.854 2.322 9.368
O 3.651 10.260 14.323
O 3.948 9.200 16.862
O 3.508 11.359 11.833
O 3.993 9.989 8.297
O 3.781 11.044 5.768
O 3.588 12.138 3.300
O 5.786 4.433 4.622
O 5.819 3.637 13.162
O 3.676 12.477 9.360
O 3.730 13.293 0.851
O 5.773 4.861 16.364
O 5.822 5.631 7.840
O 3.848 13.528 6.801
O 3.959 12.711 15.363
O 7.852 -1.038 12.896
O 7.950 -0.257 4.333
O 5.804 7.995 3.204
O 5.803 7.219 11.755
O 7.764 0.315 10.265
O 7.776 1.115 1.734
```

Values from the calculation:
- size of the total moment (μB per atom) = 0.00
- offset from the most stable computed form (kJ/mol of atoms) = 0.0
- density (g/cm3) = 4.1
- E_form (eV per atom) = -1.9340

=====

[7]
K5Mo3H2S4O2F11 | PBE+U | relaxed

```
54
Lattice="7.627 -4.522 0.000 7.627 4.522 0.000 0.000 0.000 15.174" Properties=species:S:1:pos:R:3 pbc="T T T"
K 2.495 1.272 12.075
K 7.627 3.466 7.587
K 4.007 0.757 7.683
K 2.495 -1.272 4.488
K 4.007 -0.757 0.096
K 11.246 0.757 7.683
K 12.759 1.272 12.075
K 11.246 -0.757 0.096
K 7.627 -3.466 0.000
K 12.759 -1.272 4.488
Mo 6.208 2.105 12.745
Mo 9.045 2.105 12.745
Mo 7.627 0.532 5.348
Mo 7.627 -0.532 12.935
Mo 6.208 -2.105 5.158
Mo 9.045 -2.105 5.158
H 2.908 1.489 2.603
H 2.908 -1.489 10.190
H 12.346 1.489 2.603
H 12.346 -1.489 10.190
S 7.627 3.113 11.209
S 7.627 1.316 14.516
S 5.887 0.128 11.480
S 5.887 -0.128 3.893
S 9.366 0.128 11.480
S 9.366 -0.128 3.893
S 7.627 -1.316 6.929
S 7.627 -3.113 3.622
O 7.008 3.201 1.837
O 8.245 3.201 1.837
O 7.008 -3.201 9.424
O 8.245 -3.201 9.424
F 3.036 1.564 3.909
F 2.861 1.391 1.570
F 1.711 0.631 6.213
F 4.520 1.605 13.869
F 1.711 -0.631 13.800
F 7.627 2.441 4.517
F 6.260 1.483 6.603
F 2.861 -1.391 9.157
F 3.036 -1.564 11.496
F 8.994 1.483 6.603
F 4.520 -1.605 6.282
F 10.734 1.605 13.869
F 6.260 -1.483 14.190
F 12.218 1.564 3.909
F 12.393 1.391 1.570
F 8.994 -1.483 14.190
F 7.627 -2.441 12.103
F 13.542 0.631 6.213
F 10.734 -1.605 6.282
F 13.542 -0.631 13.800
F 12.393 -1.391 9.157
F 12.218 -1.564 11.496
```

Values from the calculation:
- size of the total moment (μB per atom) = 0.02
- density (g/cm3) = 2.7
- E_form (eV per atom) = -2.0154